[1]
DFT (meta-GGA r2SCAN) results for a relaxed Nb10C7 crystal.

Calculated values
SG: C2/m, No. 12
formation energy from the elements: -0.54 eV per atom

```
Nb10C7
1.0
2.7500 -7.8604 0.0000
2.7500 7.8604 0.0000
-1.8491 0.0000 5.1953
Nb C
10 7
Cartesian
0.9835 3.0778 1.2007
0.0009 1.6099 3.8452
0.8058 0.0000 1.3733
0.0009 -1.6099 3.8452
0.9835 -3.0778 1.2007
2.6674 3.0778 3.9946
3.6500 1.6099 1.3500
2.8451 0.0000 3.8220
3.6500 -1.6099 1.3500
2.6674 -3.0778 3.9946
-0.9246 0.0000 2.5976
2.7500 6.2697 0.0000
2.7500 3.1339 0.0000
1.8254 1.5869 2.5976
1.8254 -1.5869 2.5976
2.7500 -3.1339 0.0000
2.7500 -6.2697 0.0000
```

[2]
DFT (meta-GGA r2SCAN) results for a relaxed Nb4C3 crystal.

Calculated values
SG: R-3m, No. 166
formation energy from the elements: -0.54 eV per atom

```
Nb4C3
1.0
1.5809 0.9127 10.2710
-1.5809 0.9127 10.2710
0.0000 -1.8255 10.2710
Nb C
4 3
Cartesian
0.0000 0.0000 3.7845
0.0000 0.0000 11.5680
0.0000 0.0000 19.2452
0.0000 0.0000 27.0286
0.0000 0.0000 7.7865
0.0000 0.0000 15.4066
0.0000 0.0000 23.0266
```

[3]
DFT (meta-GGA r2SCAN) results for a relaxed Nb2SnC crystal.

Calculated values
SG: P6_3/mmc, No. 194
formation energy from the elements: -0.44 eV per atom

```
Nb2SnC
1.0
3.2832 0.0000 0.0000
-1.6416 2.8433 0.0000
0.0000 0.0000 13.7686
Nb Sn C
4 2 2
Cartesian
0.0000 1.8956 1.1471
0.0000 1.8956 5.7372
1.6416 0.9478 8.0315
1.6416 0.9478 12.6215
0.0000 1.8956 10.3265
1.6416 0.9478 3.4422
0.0000 0.0000 0.0000
0.0000 0.0000 6.8843
```